# 1
VASP calculation (r2SCAN) on crystalline GdSiRu at its relaxed geometry.

Structure (POSCAR):
```
GdSiRu
1.0
4.1869 0.0000 0.0000
0.0000 4.1869 0.0000
0.0000 0.0000 6.7130
Gd Ru Si
2 2 2
direct
0.2500 0.2500 0.6779 Gd
0.7500 0.7500 0.3221 Gd
0.2500 0.7500 0.0000 Ru
0.7500 0.2500 0.0000 Ru
0.7500 0.7500 0.8204 Si
0.2500 0.2500 0.1796 Si
```

Computed properties:
Energy of formation   -247 kJ/mol of formula units
V   117.7 Å³ per cell
Symmetry   P4/nmm (129)

=====

# 2
VASP calculation (r2SCAN) on crystalline Gd2Zr2O7 at its relaxed geometry.

Structure (POSCAR):
```
Gd2Zr2O7
1.0
0.0000 5.2864 5.2863
5.2864 0.0000 5.2863
5.2864 5.2864 0.0000
O Zr Gd
14 4 4
direct
0.2870 0.7130 0.7130 O
0.7130 0.2870 0.2870 O
0.5370 0.9630 0.9630 O
0.2870 0.7130 0.2870 O
0.7130 0.2870 0.7130 O
0.5370 0.5370 0.9630 O
0.2500 0.2500 0.2500 O
0.9630 0.9630 0.5370 O
0.0000 0.0000 0.0000 O
0.2870 0.2870 0.7130 O
0.7130 0.7130 0.2870 O
0.9630 0.5370 0.5370 O
0.9630 0.5370 0.9630 O
0.5370 0.9630 0.5370 O
0.6250 0.6250 0.1250 Zr
0.6250 0.1250 0.6250 Zr
0.6250 0.6250 0.6250 Zr
0.1250 0.6250 0.6250 Zr
0.1250 0.1250 0.1250 Gd
0.6250 0.1250 0.1250 Gd
0.1250 0.1250 0.6250 Gd
0.1250 0.6250 0.1250 Gd
```

Computed properties:
Energy of formation   -4010 kJ/mol of formula units
V   295.5 Å³ per cell
Symmetry   Fd-3m (227)